La3AuI3 | PBE | optimized geometry

Computed properties:
For the calculated formation energy, the calculation gives -9.32 eV per formula unit. As for the crystal system: cubic. The corrected total energy (MP2020 scheme) comes out at -4.57 eV/atom. Its space-group type is I4_132 (214). For the calculated total energy, the calculation gives -123.35 eV per cell.

Cell: 11.099 11.099 11.099 Å, 109.47 109.47 109.47°
Fractional coordinates of all 28 atoms:
1 I 0.510 0.760 0.520
2 I 0.980 0.740 0.990
3 I 0.990 0.980 0.740
4 I 0.740 0.250 0.760
5 I 0.760 0.520 0.510
6 I 0.760 0.740 0.250
7 I 0.510 0.250 0.990
8 I 0.250 0.760 0.740
9 I 0.990 0.510 0.250
10 I 0.740 0.990 0.980
11 I 0.250 0.990 0.510
12 I 0.520 0.510 0.760
13 La 0.750 0.014 0.486
14 La 0.014 0.486 0.750
15 La 0.486 0.236 0.472
16 La 0.014 0.028 0.264
17 La 0.264 0.014 0.028
18 La 0.486 0.750 0.014
19 La 0.236 0.472 0.486
20 La 0.236 0.264 0.750
21 La 0.028 0.264 0.014
22 La 0.472 0.486 0.236
23 La 0.264 0.750 0.236
24 La 0.750 0.236 0.264
25 Au 0.250 0.500 0.000
26 Au 0.000 0.250 0.500
27 Au 0.250 0.250 0.250
28 Au 0.500 0.000 0.250

=====

KLaP2Se6 | PBE | optimized geometry

Computed properties:
For the calculated formation energy, the calculation gives -11.37 eV per formula unit. As for the crystal system: monoclinic. The corrected total energy (MP2020 scheme) comes out at -4.92 eV/atom. Its space-group type is P2_1/c (14). The value obtained for the total magnetic moment is 0.00 μB/f.u. For the calculated total energy, the calculation gives -185.54 eV per cell.

Cell: 7.946 12.014 12.641 Å, 70.61 90.00 90.00°
Fractional coordinates of all 40 atoms:
1 La 0.897 0.904 0.351
2 La 0.603 0.404 0.351
3 La 0.103 0.096 0.649
4 La 0.397 0.596 0.649
5 P 0.616 0.732 0.211
6 P 0.903 0.753 0.675
7 P 0.384 0.268 0.789
8 P 0.116 0.768 0.789
9 P 0.403 0.747 0.325
10 P 0.884 0.232 0.211
11 P 0.597 0.253 0.675
12 P 0.097 0.247 0.325
13 K 0.088 0.626 0.128
14 K 0.412 0.126 0.128
15 K 0.912 0.374 0.872
16 K 0.588 0.874 0.872
17 Se 0.311 0.866 0.671
18 Se 0.519 0.628 0.112
19 Se 0.712 0.914 0.130
20 Se 0.019 0.872 0.888
21 Se 0.288 0.086 0.870
22 Se 0.811 0.634 0.329
23 Se 0.212 0.861 0.216
24 Se 0.689 0.134 0.329
25 Se 0.973 0.318 0.448
26 Se 0.788 0.414 0.130
27 Se 0.788 0.139 0.784
28 Se 0.027 0.682 0.552
29 Se 0.981 0.128 0.112
30 Se 0.712 0.639 0.784
31 Se 0.527 0.818 0.448
32 Se 0.212 0.586 0.870
33 Se 0.189 0.366 0.671
34 Se 0.473 0.182 0.552
35 Se 0.810 0.935 0.588
36 Se 0.690 0.435 0.588
37 Se 0.481 0.372 0.888
38 Se 0.310 0.565 0.412
39 Se 0.288 0.361 0.216
40 Se 0.190 0.065 0.412

=====

TlSbTe2 | PBE | optimized geometry

Computed properties:
For the calculated formation energy, the calculation gives -0.36 eV per formula unit. As for the crystal system: monoclinic. The corrected total energy (MP2020 scheme) comes out at -3.28 eV/atom. Its space-group type is C2/m (12). The value obtained for the total magnetic moment is 0.00 μB/f.u. For the calculated total energy, the calculation gives -12.29 eV per cell.

Cell: 5.707 5.707 6.899 Å, 62.29 62.29 53.68°
Fractional coordinates of all 4 atoms:
1 Te 0.356 0.356 0.426
2 Te 0.644 0.644 0.574
3 Sb 0.000 0.000 0.500
4 Tl 0.000 0.000 0.000

=====

FeP4 | PBE | optimized geometry

Computed properties:
For the calculated formation energy, the calculation gives -1.79 eV per formula unit. As for the crystal system: orthorhombic. Its space-group type is C222_1 (20). Its maximum piezoelectric response is 0.15 C/m2. For the calculated total energy, the calculation gives -63.82 eV per cell.

Cell: 5.700 5.700 5.535 Å, 90.00 90.00 127.86°
Fractional coordinates of all 10 atoms:
1 P 0.306 0.270 0.802
2 P 0.694 0.730 0.302
3 P 0.730 0.694 0.698
4 P 0.637 0.003 0.867
5 P 0.003 0.637 0.133
6 P 0.270 0.306 0.198
7 P 0.997 0.363 0.633
8 P 0.363 0.997 0.367
9 Fe 0.826 0.174 0.250
10 Fe 0.174 0.826 0.750

=====

Q: Among the records above, which one has the lowest calculated total energy?
A: KLaP2Se6